No. 1
# r2SCAN Li7Sn3, relaxed
# ΔH_f (0 K): -0.449 eV per atom
# Crystal system: monoclinic
data_Li7Sn3
_chemical_formula_sum 'Li14 Sn6'
_cell_length_a 4.697
_cell_length_b 8.505
_cell_length_c 9.389
_cell_angle_alpha 74.00
_cell_angle_beta 90.00
_cell_angle_gamma 90.00
_space_group_name_H-M_alt 'P 1'
_space_group_IT_number 1
_space_group_name_Hall 'P 1'
loop_
_atom_site_label
_atom_site_fract_x
_atom_site_fract_y
_atom_site_fract_z
Li1 0.750 0.602 0.986
Li2 0.250 0.398 0.014
Li3 0.250 0.201 0.318
Li4 0.250 0.992 0.129
Li5 0.250 0.605 0.724
Li6 0.250 0.186 0.831
Li7 0.750 0.008 0.871
Li8 0.750 0.799 0.682
Li9 0.750 0.814 0.169
Li10 0.250 0.004 0.621
Li11 0.750 0.996 0.379
Li12 0.750 0.395 0.276
Li13 0.750 0.599 0.465
Li14 0.250 0.401 0.535
Sn1 0.750 0.198 0.568
Sn2 0.250 0.802 0.432
Sn3 0.250 0.805 0.916
Sn4 0.750 0.195 0.084
Sn5 0.750 0.403 0.776
Sn6 0.250 0.597 0.224

=====

No. 2
# r2SCAN Li3TiF6, relaxed
# ΔH_f (0 K): -3.363 eV per atom
# Crystal system: monoclinic
data_Li3TiF6
_chemical_formula_sum 'Li18 Ti6 F36'
_cell_length_a 8.345
_cell_length_b 8.345
_cell_length_c 9.984
_cell_angle_alpha 83.35
_cell_angle_beta 83.35
_cell_angle_gamma 63.19
_space_group_name_H-M_alt 'P 1'
_space_group_IT_number 1
_space_group_name_Hall 'P 1'
loop_
_atom_site_label
_atom_site_fract_x
_atom_site_fract_y
_atom_site_fract_z
F1 0.097 0.438 0.383
F2 0.571 0.591 0.062
F3 0.924 0.925 0.174
F4 0.075 0.076 0.326
F5 0.903 0.562 0.617
F6 0.246 0.903 0.571
F7 0.776 0.725 0.352
F8 0.415 0.103 0.389
F9 0.249 0.581 0.681
F10 0.076 0.075 0.826
F11 0.903 0.246 0.071
F12 0.905 0.249 0.562
F13 0.925 0.924 0.674
F14 0.754 0.436 0.815
F15 0.564 0.246 0.685
F16 0.751 0.095 0.938
F17 0.097 0.754 0.929
F18 0.095 0.751 0.438
F19 0.224 0.275 0.648
F20 0.754 0.097 0.429
F21 0.249 0.905 0.062
F22 0.438 0.097 0.883
F23 0.246 0.564 0.185
F24 0.591 0.571 0.562
F25 0.585 0.897 0.611
F26 0.103 0.415 0.889
F27 0.275 0.224 0.148
F28 0.436 0.754 0.315
F29 0.562 0.903 0.117
F30 0.581 0.249 0.180
F31 0.725 0.776 0.852
F32 0.751 0.419 0.319
F33 0.409 0.429 0.438
F34 0.897 0.585 0.111
F35 0.419 0.751 0.819
F36 0.429 0.409 0.938
Li1 0.525 0.135 0.045
Li2 0.345 0.058 0.572
Li3 0.474 0.866 0.955
Li4 0.014 0.701 0.281
Li5 0.942 0.655 0.928
Li6 0.058 0.345 0.072
Li7 0.194 0.806 0.750
Li8 0.299 0.986 0.219
Li9 0.701 0.014 0.781
Li10 0.866 0.474 0.455
Li11 0.667 0.362 0.985
Li12 0.655 0.942 0.428
Li13 0.986 0.299 0.719
Li14 0.333 0.638 0.015
Li15 0.806 0.194 0.250
Li16 0.135 0.525 0.545
Li17 0.638 0.333 0.515
Li18 0.362 0.667 0.485
Ti1 0.658 0.662 0.712
Ti2 0.000 0.000 0.000
Ti3 0.338 0.343 0.788
Ti4 0.343 0.338 0.288
Ti5 0.000 0.000 0.500
Ti6 0.662 0.658 0.212

=====

No. 3
# r2SCAN Li2Sn5, relaxed
# ΔH_f (0 K): -0.168 eV per atom
# Crystal system: tetragonal
data_Li2Sn5
_chemical_formula_sum 'Li4 Sn10'
_cell_length_a 3.107
_cell_length_b 10.292
_cell_length_c 10.292
_cell_angle_alpha 90.00
_cell_angle_beta 90.00
_cell_angle_gamma 90.00
_space_group_name_H-M_alt 'P 1'
_space_group_IT_number 1
_space_group_name_Hall 'P 1'
loop_
_atom_site_label
_atom_site_fract_x
_atom_site_fract_y
_atom_site_fract_z
Li1 0.500 0.324 0.176
Li2 0.500 0.176 0.676
Li3 0.500 0.824 0.324
Li4 0.500 0.676 0.824
Sn1 0.000 0.928 0.794
Sn2 0.000 0.572 0.294
Sn3 0.000 0.000 0.500
Sn4 0.000 0.428 0.706
Sn5 0.000 0.294 0.428
Sn6 0.000 0.500 0.000
Sn7 0.000 0.706 0.572
Sn8 0.000 0.206 0.928
Sn9 0.000 0.794 0.072
Sn10 0.000 0.072 0.206

=====

no.,calculated density (Mg/m³)
1,3.73
2,2.96
3,6.13